No. 1
Below is an optimized crystal structure of ZrAlMo4, with properties calculated at the PBE level.

Lattice parameters (Å, degrees): 5.3857 5.3857 8.4369 90.00 90.00 120.00
Element x y z (fractional)
Zr 0.3333 0.6667 0.4389
Zr 0.6667 0.3333 0.5611
Al 0.3333 0.6667 0.0679
Al 0.6667 0.3333 0.9321
Mo 0.0000 0.0000 0.0000
Mo 0.0000 0.0000 0.5000
Mo 0.1721 0.3443 0.7590
Mo 0.1721 0.8279 0.7590
Mo 0.3443 0.1721 0.2410
Mo 0.6557 0.8279 0.7590
Mo 0.8279 0.1721 0.2410
Mo 0.8279 0.6557 0.2410

## Properties
The formation energy comes out at 0.05 eV per atom. The value obtained for the calculated total energy is -9.228 eV/atom. Its symmetry is No. 164.

No. 2
Below is an optimized crystal structure of Dy2Al, with properties calculated at the PBE level.

Lattice parameters (Å, degrees): 6.5318 5.1215 9.3952 90.00 90.00 90.00
Element x y z (fractional)
Dy 0.0276 0.2500 0.2102
Dy 0.1914 0.2500 0.5722
Dy 0.3086 0.7500 0.0722
Dy 0.4724 0.7500 0.7102
Dy 0.5276 0.2500 0.2898
Dy 0.6914 0.2500 0.9278
Dy 0.8086 0.7500 0.4278
Dy 0.9724 0.7500 0.7898
Al 0.2093 0.2500 0.8976
Al 0.2907 0.7500 0.3976
Al 0.7093 0.2500 0.6024
Al 0.7907 0.7500 0.1024

## Properties
The formation energy comes out at -0.29 eV per atom. The value obtained for the calculated total energy is -4.607 eV/atom. Its symmetry is No. 62.

No. 3
Below is an optimized crystal structure of LiCuO2, with properties calculated at the PBE level.

Lattice parameters (Å, degrees): 5.0718 5.0718 5.0718 33.74 33.74 33.74
Element x y z (fractional)
Li 0.0000 0.0000 0.0000
Cu 0.5000 0.5000 0.5000
O 0.2436 0.2436 0.2436
O 0.7564 0.7564 0.7564

## Properties
The formation energy comes out at -1.38 eV per atom. The value obtained for the calculated total energy is -5.015 eV/atom. Its symmetry is No. 166.

No. 4
Below is an optimized crystal structure of Lu2B6Rh9, with properties calculated at the PBE level.

Lattice parameters (Å, degrees): 5.5848 5.5848 8.5879 90.00 90.00 120.00
Element x y z (fractional)
Lu 0.0000 0.0000 0.2030
Lu 0.0000 0.0000 0.7970
B 0.3333 0.6667 0.1676
B 0.3333 0.6667 0.5000
B 0.3333 0.6667 0.8324
B 0.6667 0.3333 0.1676
B 0.6667 0.3333 0.5000
B 0.6667 0.3333 0.8324
Rh 0.0000 0.5000 0.0000
Rh 0.0000 0.5000 0.3350
Rh 0.0000 0.5000 0.6650
Rh 0.5000 0.0000 0.0000
Rh 0.5000 0.0000 0.3350
Rh 0.5000 0.0000 0.6650
Rh 0.5000 0.5000 0.0000
Rh 0.5000 0.5000 0.3350
Rh 0.5000 0.5000 0.6650

## Properties
The formation energy comes out at -0.62 eV per atom. The value obtained for the calculated total energy is -7.412 eV/atom. Its symmetry is No. 191.

- What is the calculated total energy in the fourth record?
  -7.412 eV/atom